(1)
Crystalline Na2InCuCl6 at its relaxed geometry. Source: Materials Project, functional PBE-GGA.

* V: 25.42 Å³ per atom
* calculated total energy: -31.7 eV per formula unit

Lattice parameters (Å, degrees): 10.055 10.055 10.055 90.00 90.00 90.00
Space group Fm-3m (No. 225)
Unique sites:
Na: 0.250 0.250 0.250 (multiplicity 8)
In: 0.000 0.000 0.000 (multiplicity 4)
Cu: 0.000 0.000 0.500 (multiplicity 4)
Cl: 0.000 0.000 0.254 (multiplicity 24)

***

(2)
Crystalline MgH12SO10 at its relaxed geometry. Source: Materials Project, functional PBE-GGA.

* energy above the lowest structure with this stoichiometry: 0.00 kJ/mol of atoms
* V: 9.49 Å³ per atom
* calculated total energy: -126.5 eV per formula unit

Lattice parameters (Å, degrees): 10.314 7.154 25.170 90.00 101.06 90.00
Space group C2/c (No. 15)
Unique sites:
Mg: 0.000 0.000 0.000 (multiplicity 4)
Mg: 0.000 0.058 0.250 (multiplicity 4)
H: 0.011 0.295 0.433 (multiplicity 8)
H: 0.032 0.319 0.558 (multiplicity 8)
H: 0.064 0.259 0.699 (multiplicity 8)
H: 0.069 0.371 0.199 (multiplicity 8)
H: 0.129 0.200 0.089 (multiplicity 8)
H: 0.156 0.186 0.581 (multiplicity 8)
H: 0.161 0.050 0.845 (multiplicity 8)
H: 0.162 0.098 0.692 (multiplicity 8)
H: 0.166 0.173 0.341 (multiplicity 8)
H: 0.198 0.132 0.949 (multiplicity 8)
H: 0.204 0.284 0.232 (multiplicity 8)
H: 0.230 0.465 0.996 (multiplicity 8)
S: 0.131 0.448 0.877 (multiplicity 8)
O: 0.014 0.440 0.832 (multiplicity 8)
O: 0.039 0.177 0.067 (multiplicity 8)
O: 0.087 0.491 0.929 (multiplicity 8)
O: 0.089 0.220 0.548 (multiplicity 8)
O: 0.110 0.258 0.218 (multiplicity 8)
O: 0.114 0.150 0.718 (multiplicity 8)
O: 0.144 0.058 0.320 (multiplicity 8)
O: 0.184 0.053 0.980 (multiplicity 8)
O: 0.201 0.264 0.883 (multiplicity 8)
O: 0.222 0.401 0.365 (multiplicity 8)